[1]
YNi12B6: optimized geometry, PBE.

Output
Energy relative to the lowest polymorph listed for this composition (meV/atom): 0.0

Cell: 6.034 6.034 10.955 Å, 90.00 90.00 75.09°
Positions (direct):
Y 0.165 0.835 0.500
Y 0.835 0.165 0.000
Ni 0.004 0.630 0.940
Ni 0.118 0.145 0.759
Ni 0.145 0.118 0.259
Ni 0.195 0.544 0.737
Ni 0.213 0.526 0.280
Ni 0.218 0.782 0.103
Ni 0.270 0.340 0.071
Ni 0.340 0.270 0.571
Ni 0.370 0.996 0.940
Ni 0.436 0.564 0.923
Ni 0.456 0.805 0.737
Ni 0.474 0.787 0.280
Ni 0.526 0.213 0.780
Ni 0.544 0.195 0.237
Ni 0.564 0.436 0.423
Ni 0.630 0.004 0.440
Ni 0.660 0.730 0.071
Ni 0.730 0.660 0.571
Ni 0.782 0.218 0.603
Ni 0.787 0.474 0.780
Ni 0.805 0.456 0.237
Ni 0.855 0.882 0.759
Ni 0.882 0.855 0.259
Ni 0.996 0.370 0.440
B 0.011 0.402 0.626
B 0.164 0.836 0.842
B 0.243 0.326 0.888
B 0.326 0.243 0.388
B 0.402 0.011 0.126
B 0.489 0.511 0.156
B 0.511 0.489 0.656
B 0.598 0.989 0.626
B 0.674 0.757 0.888
B 0.757 0.674 0.388
B 0.836 0.164 0.342
B 0.989 0.598 0.126

---

[2]
YNi12B6: optimized geometry, PBE.

Output
Magnetization (μB per formula unit): 0.0
Energy relative to the lowest polymorph listed for this composition (meV/atom): 4.8

Cell: 6.009 6.009 6.009 Å, 104.33 104.33 104.33°
Positions (direct):
Y 0.000 0.000 0.000
Ni 0.131 0.500 0.869
Ni 0.131 0.869 0.500
Ni 0.187 0.454 0.454
Ni 0.454 0.187 0.454
Ni 0.454 0.454 0.187
Ni 0.500 0.131 0.869
Ni 0.500 0.869 0.131
Ni 0.546 0.546 0.813
Ni 0.546 0.813 0.546
Ni 0.813 0.546 0.546
Ni 0.869 0.131 0.500
Ni 0.869 0.500 0.131
B 0.234 0.234 0.666
B 0.234 0.666 0.234
B 0.334 0.766 0.766
B 0.666 0.234 0.234
B 0.766 0.334 0.766
B 0.766 0.766 0.334

---

[3]
Y2NiB10: optimized geometry, PBE.

Output
VASP energy (eV/cell): -184.141

Cell: 5.556 11.093 4.146 Å, 90.00 90.00 90.00°
Positions (direct):
Y 0.193 0.136 0.000
Y 0.307 0.636 0.000
Y 0.693 0.364 0.000
Y 0.807 0.864 0.000
Ni 0.000 0.500 0.500
Ni 0.500 0.000 0.500
B 0.035 0.312 0.500
B 0.125 0.959 0.500
B 0.154 0.803 0.500
B 0.204 0.386 0.199
B 0.204 0.386 0.801
B 0.296 0.886 0.199
B 0.296 0.886 0.801
B 0.346 0.303 0.500
B 0.375 0.459 0.500
B 0.465 0.812 0.500
B 0.535 0.188 0.500
B 0.625 0.541 0.500
B 0.654 0.697 0.500
B 0.704 0.114 0.199
B 0.704 0.114 0.801
B 0.796 0.614 0.199
B 0.796 0.614 0.801
B 0.846 0.197 0.500
B 0.875 0.041 0.500
B 0.965 0.688 0.500

---

[4]
Y3Ni19B10: optimized geometry, PBE.

Output
Magnetization (μB per formula unit): 0.0
VASP energy (eV/cell): -209.613

Cell: 7.878 7.878 5.771 Å, 91.05 91.05 67.05°
Positions (direct):
Y 0.000 0.000 0.000
Y 0.375 0.375 0.616
Y 0.625 0.625 0.384
Ni 0.000 0.000 0.500
Ni 0.045 0.517 0.302
Ni 0.122 0.623 0.927
Ni 0.162 0.162 0.703
Ni 0.182 0.182 0.271
Ni 0.230 0.710 0.302
Ni 0.290 0.770 0.698
Ni 0.377 0.878 0.073
Ni 0.378 0.378 0.128
Ni 0.483 0.955 0.698
Ni 0.517 0.045 0.302
Ni 0.622 0.622 0.872
Ni 0.623 0.122 0.927
Ni 0.710 0.230 0.302
Ni 0.770 0.290 0.698
Ni 0.818 0.818 0.729
Ni 0.838 0.838 0.297
Ni 0.878 0.377 0.073
Ni 0.955 0.483 0.698
B 0.064 0.700 0.570
B 0.142 0.350 0.976
B 0.300 0.936 0.430
B 0.350 0.142 0.976
B 0.385 0.615 0.000
B 0.615 0.385 0.000
B 0.650 0.858 0.024
B 0.700 0.064 0.570
B 0.858 0.650 0.024
B 0.936 0.300 0.430

---

| no. | ρ (g/cm3) |
| --- | --- |
| 1 | 7.39 |
| 2 | 7.41 |
| 3 | 4.48 |
| 4 | 7.50 |